[1]
Density functional theory data (PBE) for a geometry-optimized LuPt3 structure.

a b c (Å): 4.0778 4.0778 4.0778
angles (deg): 90.00 90.00 90.00
Closest atoms and distances in Å follow each position.
Atoms (fractional coordinates):
1 Lu 0.0000 0.0000 0.0000  12 Pt 2.88
2 Pt 0.0000 0.5000 0.5000  8 Pt 2.88, 4 Lu 2.88
3 Pt 0.5000 0.0000 0.5000  8 Pt 2.88, 4 Lu 2.88
4 Pt 0.5000 0.5000 0.0000  8 Pt 2.88, 4 Lu 2.88

The space group is Pm-3m, No. 221. Its density is 18.62 g/cm³. As for the formation energy: -1083 meV/atom.



[2]
Density functional theory data (PBE) for a geometry-optimized Lu5Pt4 structure.

a b c (Å): 7.3137 14.6003 7.4054
angles (deg): 90.00 90.00 90.00
Closest atoms and distances in Å follow each position.
Atoms (fractional coordinates):
1 Lu 0.0280 0.0989 0.1750  6 Pt 2.86-3.19
2 Lu 0.0280 0.4011 0.1750  6 Pt 2.86-3.19
3 Lu 0.1249 0.6186 0.3363  6 Pt 2.81-2.98
4 Lu 0.1249 0.8814 0.3363  6 Pt 2.81-2.98
5 Lu 0.2090 0.2500 0.4956  6 Pt 2.79-3.01
6 Lu 0.2910 0.7500 0.9956  6 Pt 2.79-3.01
7 Lu 0.3751 0.1186 0.8363  6 Pt 2.81-2.98
8 Lu 0.3751 0.3814 0.8363  6 Pt 2.81-2.98
9 Lu 0.4720 0.5989 0.6750  6 Pt 2.86-3.19
10 Lu 0.4720 0.9011 0.6750  6 Pt 2.86-3.19
11 Lu 0.5280 0.0989 0.3250  6 Pt 2.86-3.19
12 Lu 0.5280 0.4011 0.3250  6 Pt 2.86-3.19
13 Lu 0.6249 0.6186 0.1637  6 Pt 2.81-2.98
14 Lu 0.6249 0.8814 0.1637  6 Pt 2.81-2.98
15 Lu 0.7090 0.2500 0.0044  6 Pt 2.79-3.01
16 Lu 0.7910 0.7500 0.5044  6 Pt 2.79-3.01
17 Lu 0.8751 0.1186 0.6637  6 Pt 2.81-2.98
18 Lu 0.8751 0.3814 0.6637  6 Pt 2.81-2.98
19 Lu 0.9720 0.5989 0.8250  6 Pt 2.86-3.19
20 Lu 0.9720 0.9011 0.8250  6 Pt 2.86-3.19
21 Pt 0.0760 0.2500 0.8774  1 Pt 2.76, 6 Lu 2.84-2.99
22 Pt 0.1587 0.7500 0.6423  1 Pt 2.76, 6 Lu 2.79-2.98
23 Pt 0.2118 0.0441 0.5259  7 Lu 2.81-3.03
24 Pt 0.2118 0.4559 0.5259  7 Lu 2.81-3.03
25 Pt 0.2882 0.5441 0.0259  7 Lu 2.81-3.03
26 Pt 0.2882 0.9559 0.0259  7 Lu 2.81-3.03
27 Pt 0.3413 0.2500 0.1423  1 Pt 2.76, 6 Lu 2.79-2.98
28 Pt 0.4240 0.7500 0.3774  1 Pt 2.76, 6 Lu 2.84-2.99
29 Pt 0.5760 0.2500 0.6226  1 Pt 2.76, 6 Lu 2.84-2.99
30 Pt 0.6587 0.7500 0.8577  1 Pt 2.76, 6 Lu 2.79-2.98
31 Pt 0.7118 0.0441 0.9741  7 Lu 2.81-3.03
32 Pt 0.7118 0.4559 0.9741  7 Lu 2.81-3.03
33 Pt 0.7882 0.5441 0.4741  7 Lu 2.81-3.03
34 Pt 0.7882 0.9559 0.4741  7 Lu 2.81-3.03
35 Pt 0.8413 0.2500 0.3577  1 Pt 2.76, 6 Lu 2.79-2.98
36 Pt 0.9240 0.7500 0.1226  1 Pt 2.76, 6 Lu 2.84-2.99

The space group is Pnma, No. 62. Its density is 13.90 g/cm³. As for the formation energy: -1236 meV/atom.



[3]
Density functional theory data (PBE) for a geometry-optimized LuPt structure.

a b c (Å): 6.9127 4.4026 5.5391
angles (deg): 90.00 90.00 90.00
Closest atoms and distances in Å follow each position.
Atoms (fractional coordinates):
1 Lu 0.1802 0.2500 0.1401  7 Pt 2.83-3.01
2 Lu 0.3198 0.7500 0.6401  7 Pt 2.83-3.01
3 Lu 0.6802 0.2500 0.3599  7 Pt 2.83-3.01
4 Lu 0.8198 0.7500 0.8599  7 Pt 2.83-3.01
5 Pt 0.0456 0.2500 0.6571  7 Lu 2.83-3.01, 2 Pt 2.88
6 Pt 0.4544 0.7500 0.1571  7 Lu 2.83-3.01, 2 Pt 2.88
7 Pt 0.5456 0.2500 0.8429  7 Lu 2.83-3.01, 2 Pt 2.88
8 Pt 0.9544 0.7500 0.3429  7 Lu 2.83-3.01, 2 Pt 2.88

The space group is Pnma, No. 62. Its density is 14.58 g/cm³. As for the formation energy: -1337 meV/atom.



[4]
Density functional theory data (PBE) for a geometry-optimized Lu3Pt4 structure.

a b c (Å): 7.7348 7.7348 7.7348
angles (deg): 114.24 114.24 114.24
Closest atoms and distances in Å follow each position.
Atoms (fractional coordinates):
1 Lu 0.0255 0.4037 0.2799  8 Pt 2.82-3.09
2 Lu 0.2799 0.0255 0.4037  8 Pt 2.82-3.09
3 Lu 0.4037 0.2799 0.0255  8 Pt 2.82-3.09
4 Lu 0.5963 0.7201 0.9745  8 Pt 2.82-3.09
5 Lu 0.7201 0.9745 0.5963  8 Pt 2.82-3.09
6 Lu 0.9745 0.5963 0.7201  8 Pt 2.82-3.09
7 Pt 0.0000 0.0000 0.0000  2 Pt 2.83, 6 Lu 2.84
8 Pt 0.0638 0.2290 0.5528  6 Lu 2.82-3.09, 3 Pt 2.88-2.94
9 Pt 0.2290 0.5528 0.0638  6 Lu 2.82-3.09, 3 Pt 2.88-2.94
10 Pt 0.4472 0.9362 0.7710  6 Lu 2.82-3.09, 3 Pt 2.88-2.94
11 Pt 0.5000 0.5000 0.5000  2 Pt 2.83, 6 Lu 2.92
12 Pt 0.5528 0.0638 0.2290  6 Lu 2.82-3.09, 3 Pt 2.88-2.94
13 Pt 0.7710 0.4472 0.9362  6 Lu 2.82-3.09, 3 Pt 2.88-2.94
14 Pt 0.9362 0.7710 0.4472  6 Lu 2.82-3.09, 3 Pt 2.88-2.94

The space group is R-3, No. 148. Its density is 15.70 g/cm³. As for the formation energy: -1285 meV/atom.



[5]
Density functional theory data (PBE) for a geometry-optimized Lu2RuPt structure.

a b c (Å): 4.7754 4.7754 4.7754
angles (deg): 60.00 60.00 60.00
Closest atoms and distances in Å follow each position.
Atoms (fractional coordinates):
1 Lu 0.2500 0.2500 0.2500  4 Pt 2.92, 4 Ru 2.92
2 Lu 0.7500 0.7500 0.7500  4 Ru 2.92, 4 Pt 2.92
3 Ru 0.0000 0.0000 0.0000  8 Lu 2.92
4 Pt 0.5000 0.5000 0.5000  8 Lu 2.92

The space group is Fm-3m, No. 225. Its density is 13.93 g/cm³. As for the formation energy: -926 meV/atom.



[6]
Density functional theory data (PBE) for a geometry-optimized LuSi2Pt2 structure.

a b c (Å): 5.7088 5.7088 5.7088
angles (deg): 137.02 137.02 62.40
Closest atoms and distances in Å follow each position.
Atoms (fractional coordinates):
1 Lu 0.0000 0.0000 0.0000  8 Si 3.17, 8 Pt 3.21
2 Si 0.3830 0.3830 0.0000  1 Si 2.29, 4 Pt 2.46
3 Si 0.6170 0.6170 0.0000  1 Si 2.29, 4 Pt 2.46
4 Pt 0.2500 0.7500 0.5000  4 Si 2.46
5 Pt 0.7500 0.2500 0.5000  4 Si 2.46

The space group is I4/mmm, No. 139. Its density is 12.08 g/cm³. As for the formation energy: -977 meV/atom.



[7]
Density functional theory data (PBE) for a geometry-optimized LuSi2Pt2 structure.

a b c (Å): 5.9336 5.9336 5.9336
angles (deg): 139.29 139.29 58.94
Closest atoms and distances in Å follow each position.
Atoms (fractional coordinates):
1 Lu 0.0000 0.0000 0.0000  8 Pt 3.21, 8 Si 3.31
2 Si 0.2500 0.7500 0.5000  4 Pt 2.41
3 Si 0.7500 0.2500 0.5000  4 Pt 2.41
4 Pt 0.3701 0.3701 0.0000  4 Si 2.41, 1 Pt 2.68
5 Pt 0.6299 0.6299 0.0000  4 Si 2.41, 1 Pt 2.68

The space group is I4/mmm, No. 139. Its density is 11.72 g/cm³. As for the formation energy: -914 meV/atom.



[8]
Density functional theory data (PBE) for a geometry-optimized LuSiPt structure.

a b c (Å): 6.8669 4.2444 7.4133
angles (deg): 90.00 90.00 90.00
Closest atoms and distances in Å follow each position.
Atoms (fractional coordinates):
1 Lu 0.0034 0.2500 0.1995  6 Pt 2.93-3.20, 6 Si 2.94-3.15
2 Lu 0.4966 0.7500 0.6995  6 Pt 2.93-3.20, 6 Si 2.94-3.15
3 Lu 0.5034 0.2500 0.3005  6 Pt 2.93-3.20, 6 Si 2.94-3.15
4 Lu 0.9966 0.7500 0.8005  6 Pt 2.93-3.20, 6 Si 2.94-3.15
5 Si 0.1855 0.2500 0.5887  4 Pt 2.49-2.66
6 Si 0.3145 0.7500 0.0887  4 Pt 2.49-2.66
7 Si 0.6855 0.2500 0.9113  4 Pt 2.49-2.66
8 Si 0.8145 0.7500 0.4113  4 Pt 2.49-2.66
9 Pt 0.2019 0.7500 0.4137  4 Si 2.49-2.66
10 Pt 0.2981 0.2500 0.9137  4 Si 2.49-2.66
11 Pt 0.7019 0.7500 0.0863  4 Si 2.49-2.66
12 Pt 0.7981 0.2500 0.5863  4 Si 2.49-2.66

The space group is Pnma, No. 62. Its density is 12.24 g/cm³. As for the formation energy: -1209 meV/atom.



[9]
Density functional theory data (PBE) for a geometry-optimized Rb3Lu structure.

a b c (Å): 7.9476 7.9476 7.9476
angles (deg): 132.85 132.85 68.88
Closest atoms and distances in Å follow each position.
Atoms (fractional coordinates):
1 Rb 0.0000 0.0000 0.0000  4 Lu 4.49, 8 Rb 4.57
2 Rb 0.2500 0.7500 0.5000  8 Rb 4.49-4.57, 4 Lu 4.57
3 Rb 0.7500 0.2500 0.5000  8 Rb 4.49-4.57, 4 Lu 4.57
4 Lu 0.5000 0.5000 0.0000  12 Rb 4.49-4.57

The space group is I4/mmm, No. 139. Its density is 2.70 g/cm³. As for the formation energy: 624 meV/atom.



[10]
Density functional theory data (PBE) for a geometry-optimized Rb3Lu structure.

a b c (Å): 6.4256 6.4256 6.4256
angles (deg): 90.00 90.00 90.00
Closest atoms and distances in Å follow each position.
Atoms (fractional coordinates):
1 Rb 0.0000 0.0000 0.5000  8 Rb 4.54, 4 Lu 4.54
2 Rb 0.0000 0.5000 0.0000  8 Rb 4.54, 4 Lu 4.54
3 Rb 0.5000 0.0000 0.0000  8 Rb 4.54, 4 Lu 4.54
4 Lu 0.5000 0.5000 0.5000  12 Rb 4.54

The space group is Pm-3m, No. 221. Its density is 2.70 g/cm³. As for the formation energy: 631 meV/atom.



[11]
Density functional theory data (PBE) for a geometry-optimized RbLuS2 structure.

a b c (Å): 8.0029 8.0029 8.0029
angles (deg): 28.92 28.92 28.92
Closest atoms and distances in Å follow each position.
Atoms (fractional coordinates):
1 Rb 0.0000 0.0000 0.0000  6 S 3.32
2 Lu 0.5000 0.5000 0.5000  6 S 2.72
3 S 0.2294 0.2294 0.2294  3 Lu 2.72
4 S 0.7706 0.7706 0.7706  3 Lu 2.72

The space group is R-3m, No. 166. Its density is 5.08 g/cm³. As for the formation energy: -2086 meV/atom.



[12]
Density functional theory data (PBE) for a geometry-optimized RbLuSe2 structure.

a b c (Å): 8.3340 8.3340 8.3340
angles (deg): 28.96 28.96 28.96
Closest atoms and distances in Å follow each position.
Atoms (fractional coordinates):
1 Rb 0.0000 0.0000 0.0000  6 Se 3.44
2 Lu 0.5000 0.5000 0.5000  6 Se 2.85
3 Se 0.2306 0.2306 0.2306  3 Lu 2.85
4 Se 0.7694 0.7694 0.7694  3 Lu 2.85

The space group is R-3m, No. 166. Its density is 5.79 g/cm³. As for the formation energy: -1935 meV/atom.



[13]
Density functional theory data (PBE) for a geometry-optimized LuRe2 structure.

a b c (Å): 5.3956 5.3956 8.7207
angles (deg): 90.00 90.00 120.00
Closest atoms and distances in Å follow each position.
Atoms (fractional coordinates):
1 Lu 0.3333 0.6667 0.0630  12 Re 3.12-3.16, 4 Lu 3.26-3.30
2 Lu 0.3333 0.6667 0.4370  12 Re 3.12-3.16, 4 Lu 3.26-3.30
3 Lu 0.6667 0.3333 0.5630  12 Re 3.12-3.16, 4 Lu 3.26-3.30
4 Lu 0.6667 0.3333 0.9370  12 Re 3.12-3.16, 4 Lu 3.26-3.30
5 Re 0.0000 0.0000 0.0000  6 Re 2.71
6 Re 0.0000 0.0000 0.5000  6 Re 2.71
7 Re 0.1720 0.3439 0.7500  6 Re 2.61-2.78
8 Re 0.1720 0.8280 0.7500  6 Re 2.61-2.78
9 Re 0.3439 0.1720 0.2500  6 Re 2.61-2.78
10 Re 0.6561 0.8280 0.7500  6 Re 2.61-2.78
11 Re 0.8280 0.1720 0.2500  6 Re 2.61-2.78
12 Re 0.8280 0.6561 0.2500  6 Re 2.61-2.78

The space group is P6_3/mmc, No. 194. Its density is 16.54 g/cm³. As for the formation energy: -322 meV/atom.